DFT (PBE) results for an optimized crystal structure of Mg16Al12Sn.

E_tot, eV per atom: -2.595
Total moment, Bohr magnetons per cell: 0.00
Energy above the most stable polymorph in this dataset, meV/atom: 0
DFT formation energy, meV/atom: -24

Unit cell a=9.094 b=9.094 c=9.101 alpha=70.91 beta=70.91 gamma=109.30
Sites, in units of the cell vectors:
Mg  0.320  0.712  0.683
Mg  0.005  0.686  0.600
Al  0.997  0.366  0.818
Mg  0.999  0.999  0.345
Mg  0.397  0.678  0.003
Mg  0.341  0.341  0.666
Mg  0.286  0.598  0.400
Al  0.002  0.187  0.633
Mg  0.712  0.320  0.683
Mg  0.598  0.286  0.400
Mg  0.686  0.005  0.600
Al  0.810  0.180  0.188
Al  0.360  0.177  0.008
Mg  0.999  0.401  0.317
Mg  0.004  0.653  0.995
Mg  0.653  0.004  0.995
Al  0.366  0.997  0.818
Mg  0.313  0.313  0.289
Mg  0.000  0.000  0.001
Al  0.633  0.633  0.176
Al  0.634  0.824  0.355
Sn  0.617  0.617  0.701
Mg  0.678  0.397  0.003
Al  0.180  0.810  0.188
Al  0.824  0.824  0.819
Al  0.187  0.002  0.633
Al  0.177  0.360  0.008
Mg  0.401  0.999  0.317
Al  0.824  0.634  0.355

---

DFT (PBE) results for an optimized crystal structure of K3NaZr2Si3O12.

E_tot, eV per atom: -7.366
Total moment, Bohr magnetons per cell: 0.00
DFT formation energy, meV/atom: -3121

Unit cell a=9.495 b=9.495 c=22.724 alpha=90.00 beta=90.00 gamma=120.00
Sites, in units of the cell vectors:
O  0.149  0.495  0.578
O  0.680  0.162  0.745
Zr  0.333  0.667  0.018
Na  0.333  0.667  0.667
O  0.346  0.851  0.578
K  0.333  0.325  0.917
O  0.654  0.505  0.922
Si  0.367  0.033  0.583
O  0.680  0.518  0.245
Zr  0.000  0.000  0.351
O  0.686  0.535  0.527
Zr  0.000  0.000  0.649
Zr  0.000  0.000  0.851
Na  0.000  0.000  0.500
Si  0.667  0.033  0.083
O  0.151  0.686  0.473
Zr  0.667  0.333  0.482
O  0.816  0.829  0.912
O  0.485  0.132  0.640
Si  0.333  0.967  0.917
Na  0.667  0.333  0.333
Si  0.333  0.367  0.417
O  0.799  0.818  0.193
K  0.325  0.333  0.583
K  0.325  0.992  0.083
K  0.342  0.342  0.250
O  0.981  0.182  0.307
O  0.320  0.482  0.755
O  0.838  0.320  0.245
O  0.868  0.353  0.640
Na  0.667  0.333  0.833
Zr  0.333  0.667  0.315
O  0.515  0.647  0.860
K  0.992  0.325  0.417
O  0.019  0.201  0.193
K  0.333  0.008  0.417
O  0.132  0.647  0.360
O  0.151  0.465  0.973
K  0.667  0.675  0.083
Si  0.000  0.700  0.750
O  0.518  0.838  0.755
Si  0.367  0.333  0.083
Si  0.300  0.000  0.250
O  0.171  0.184  0.412
O  0.535  0.686  0.973
O  0.182  0.201  0.693
Si  0.000  0.300  0.250
O  0.162  0.482  0.255
O  0.201  0.019  0.307
Si  0.033  0.667  0.417
Zr  0.667  0.333  0.685
O  0.495  0.346  0.422
K  0.658  0.000  0.250
O  0.987  0.816  0.088
O  0.987  0.171  0.588
Si  0.633  0.967  0.417
Zr  0.000  0.000  0.149
O  0.818  0.019  0.807
O  0.019  0.818  0.693
O  0.647  0.132  0.140
O  0.686  0.151  0.027
Si  0.700  0.700  0.250
O  0.314  0.849  0.973
K  0.342  0.000  0.750
O  0.184  0.013  0.588
O  0.829  0.013  0.088
O  0.482  0.162  0.245
O  0.149  0.654  0.078
Si  0.967  0.633  0.083
O  0.465  0.151  0.527
K  0.667  0.992  0.583
O  0.829  0.816  0.588
O  0.799  0.981  0.693
K  0.008  0.675  0.583
O  0.314  0.465  0.473
O  0.353  0.485  0.360
O  0.838  0.518  0.745
O  0.849  0.314  0.527
Zr  0.333  0.667  0.815
O  0.132  0.485  0.860
Si  0.967  0.333  0.583
Si  0.033  0.367  0.917
K  0.675  0.008  0.917
O  0.505  0.654  0.578
O  0.184  0.171  0.088
O  0.013  0.829  0.412
O  0.851  0.346  0.922
O  0.465  0.314  0.027
Si  0.667  0.633  0.583
O  0.535  0.849  0.473
O  0.495  0.149  0.922
O  0.654  0.149  0.422
Zr  0.667  0.333  0.982
O  0.346  0.495  0.078
Si  0.300  0.300  0.750
O  0.849  0.535  0.027
O  0.485  0.353  0.140
O  0.353  0.868  0.860
Na  0.333  0.667  0.167
O  0.816  0.987  0.412
O  0.482  0.320  0.745
O  0.013  0.184  0.912
O  0.818  0.799  0.307
O  0.515  0.868  0.360
K  0.658  0.658  0.750
O  0.320  0.838  0.255
O  0.162  0.680  0.755
O  0.647  0.515  0.640
O  0.851  0.505  0.422
O  0.505  0.851  0.078
Zr  0.667  0.333  0.185
O  0.171  0.987  0.912
K  0.008  0.333  0.083
K  0.000  0.342  0.750
O  0.182  0.981  0.193
Na  0.000  0.000  0.000
Zr  0.333  0.667  0.518
O  0.518  0.680  0.255
O  0.201  0.182  0.807
Si  0.700  0.000  0.750
K  0.000  0.658  0.250
K  0.675  0.667  0.417
Si  0.633  0.667  0.917
K  0.992  0.667  0.917
O  0.981  0.799  0.807
O  0.868  0.515  0.140

---

DFT (PBE) results for an optimized crystal structure of LiMg2H7Ru.

E_tot, eV per atom: -3.810
Total moment, Bohr magnetons per cell: 0.00
DFT formation energy, meV/atom: -344

Unit cell a=4.696 b=4.696 c=10.699 alpha=90.00 beta=90.00 gamma=120.00
Sites, in units of the cell vectors:
H  0.834  0.166  0.404
H  0.332  0.166  0.404
H  0.834  0.166  0.096
H  0.332  0.166  0.096
Mg  0.333  0.667  0.425
H  0.166  0.332  0.596
H  0.166  0.834  0.904
H  0.333  0.667  0.250
Mg  0.667  0.333  0.575
H  0.668  0.834  0.904
H  0.834  0.668  0.404
Mg  0.667  0.333  0.925
H  0.166  0.332  0.904
H  0.667  0.333  0.750
H  0.834  0.668  0.096
Mg  0.333  0.667  0.075
Ru  0.000  0.000  0.500
Ru  0.000  0.000  0.000
Li  0.000  0.000  0.750
H  0.668  0.834  0.596
Li  0.000  0.000  0.250
H  0.166  0.834  0.596

---

DFT (PBE) results for an optimized crystal structure of GaSiCN.

E_tot, eV per atom: -6.626
Total moment, Bohr magnetons per cell: 0.00
DFT formation energy, meV/atom: -211

Unit cell a=3.149 b=5.090 c=5.603 alpha=90.00 beta=90.00 gamma=90.00
Sites, in units of the cell vectors:
Ga  0.500  0.514  0.934
C  0.000  0.395  0.106
C  0.500  0.895  0.894
Si  0.500  0.995  0.592
Si  0.000  0.495  0.408
N  0.000  0.860  0.445
Ga  0.000  0.014  0.066
N  0.500  0.360  0.555

---

DFT (PBE) results for an optimized crystal structure of Ag2AsS2.

E_tot, eV per atom: -3.813
Total moment, Bohr magnetons per cell: 0.00
DFT formation energy, meV/atom: -295

Unit cell a=13.195 b=6.928 c=9.757 alpha=81.30 beta=90.00 gamma=90.00
Sites, in units of the cell vectors:
S  0.065  0.988  0.428
S  0.745  0.847  0.191
As  0.683  0.149  0.617
Ag  0.089  0.276  0.041
S  0.568  0.981  0.512
Ag  0.394  0.102  0.567
S  0.101  0.897  0.090
As  0.833  0.315  0.307
As  0.167  0.815  0.307
Ag  0.315  0.143  0.962
S  0.918  0.004  0.793
Ag  0.685  0.643  0.962
S  0.246  0.110  0.733
S  0.082  0.504  0.793
Ag  0.506  0.349  0.840
S  0.369  0.589  0.846
Ag  0.594  0.079  0.237
Ag  0.406  0.579  0.237
S  0.418  0.951  0.157
Ag  0.494  0.849  0.840
Ag  0.107  0.370  0.358
Ag  0.792  0.193  0.960
S  0.582  0.451  0.157
As  0.317  0.649  0.617
As  0.687  0.559  0.314
S  0.935  0.488  0.428
Ag  0.911  0.776  0.041
S  0.754  0.610  0.733
Ag  0.208  0.693  0.960
As  0.177  0.393  0.626
As  0.823  0.893  0.626
Ag  0.606  0.602  0.567
Ag  0.893  0.870  0.358
Ag  0.093  0.875  0.693
S  0.631  0.089  0.846
As  0.313  0.059  0.314
S  0.899  0.397  0.090
S  0.255  0.347  0.191
Ag  0.907  0.375  0.693
S  0.432  0.481  0.512

---

DFT (PBE) results for an optimized crystal structure of Rb3Bi2I9.

E_tot, eV per atom: -2.675
Total moment, Bohr magnetons per cell: 0.03
Energy above the most stable polymorph in this dataset, meV/atom: 5
DFT formation energy, meV/atom: -1173

Unit cell a=8.855 b=14.955 c=20.754 alpha=86.66 beta=90.00 gamma=90.00
Sites, in units of the cell vectors:
Rb  0.565  0.177  0.079
I  0.510  0.978  0.770
Rb  0.572  0.505  0.738
I  0.699  0.618  0.900
I  0.178  0.203  0.765
I  0.993  0.812  0.432
Rb  0.928  0.005  0.738
I  0.492  0.343  0.903
I  0.008  0.843  0.903
I  0.322  0.703  0.765
Bi  0.493  0.836  0.659
I  0.678  0.297  0.235
Rb  0.935  0.677  0.079
Rb  0.435  0.823  0.921
I  0.702  0.585  0.389
Bi  0.495  0.831  0.160
I  0.319  0.041  0.427
I  0.507  0.312  0.432
I  0.798  0.085  0.389
I  0.010  0.522  0.230
Bi  0.995  0.669  0.840
I  0.824  0.758  0.712
Rb  0.065  0.323  0.921
I  0.676  0.258  0.712
I  0.992  0.157  0.097
Rb  0.574  0.840  0.416
Rb  0.426  0.160  0.584
I  0.301  0.382  0.100
I  0.493  0.688  0.568
I  0.202  0.915  0.611
I  0.179  0.580  0.946
Bi  0.505  0.169  0.840
I  0.321  0.080  0.946
I  0.324  0.742  0.288
I  0.819  0.459  0.573
Rb  0.428  0.495  0.262
I  0.176  0.242  0.288
I  0.990  0.478  0.770
I  0.822  0.797  0.235
Bi  0.507  0.164  0.341
Bi  0.993  0.664  0.341
I  0.007  0.188  0.568
I  0.490  0.022  0.230
I  0.508  0.657  0.097
I  0.681  0.959  0.573
Rb  0.926  0.340  0.416
I  0.821  0.420  0.054
I  0.181  0.541  0.427
I  0.298  0.415  0.611
I  0.199  0.882  0.100
I  0.801  0.118  0.900
Bi  0.005  0.331  0.160
Rb  0.074  0.660  0.584
Rb  0.072  0.995  0.262
Bi  0.007  0.336  0.659
I  0.679  0.920  0.054

---

DFT (PBE) results for an optimized crystal structure of BaMg6Fe.

E_tot, eV per atom: -2.249
Total moment, Bohr magnetons per cell: 2.48
Energy above the most stable polymorph in this dataset, meV/atom: 0
DFT formation energy, meV/atom: 249

Unit cell a=7.752 b=7.752 c=4.941 alpha=90.00 beta=90.00 gamma=133.70
Sites, in units of the cell vectors:
Fe  0.904  0.096  0.500
Mg  0.796  0.680  0.500
Mg  0.164  0.313  0.000
Ba  0.294  0.706  0.500
Mg  0.687  0.836  0.000
Mg  0.119  0.881  0.000
Mg  0.320  0.204  0.500
Mg  0.717  0.283  0.000

---

DFT (PBE) results for an optimized crystal structure of P4Se3I2.

E_tot, eV per atom: -3.974
Total moment, Bohr magnetons per cell: 0.00
Energy above the most stable polymorph in this dataset, meV/atom: 18
DFT formation energy, meV/atom: -148

Unit cell a=7.239 b=10.516 c=16.714 alpha=90.00 beta=90.00 gamma=90.00
Sites, in units of the cell vectors:
Se  0.757  0.891  0.143
P  0.550  0.526  0.851
Se  0.964  0.324  0.750
Se  0.257  0.609  0.643
P  0.550  0.526  0.649
Se  0.743  0.391  0.357
P  0.819  0.132  0.750
P  0.950  0.026  0.851
I  0.718  0.644  0.542
P  0.681  0.632  0.750
P  0.246  0.745  0.750
I  0.782  0.144  0.958
Se  0.743  0.391  0.143
I  0.218  0.856  0.458
P  0.450  0.474  0.351
P  0.254  0.245  0.750
P  0.319  0.368  0.250
Se  0.757  0.891  0.357
P  0.050  0.974  0.149
Se  0.536  0.824  0.750
Se  0.243  0.109  0.857
I  0.282  0.356  0.458
P  0.754  0.255  0.250
P  0.050  0.974  0.351
P  0.746  0.755  0.250
Se  0.243  0.109  0.643
Se  0.257  0.609  0.857
I  0.782  0.144  0.542
P  0.950  0.026  0.649
I  0.718  0.644  0.958
Se  0.464  0.176  0.250
I  0.282  0.356  0.042
I  0.218  0.856  0.042
P  0.181  0.868  0.250
P  0.450  0.474  0.149
Se  0.036  0.676  0.250

---

DFT (PBE) results for an optimized crystal structure of Sr2LiTeO6.

E_tot, eV per atom: -5.796
Total moment, Bohr magnetons per cell: 2.00
DFT formation energy, meV/atom: -2396

Unit cell a=5.680 b=5.679 c=8.070 alpha=90.09 beta=90.00 gamma=90.00
Sites, in units of the cell vectors:
O  0.244  0.276  0.497
O  0.000  0.009  0.761
O  0.256  0.776  0.997
Sr  0.501  0.002  0.750
O  0.500  0.491  0.739
O  0.756  0.724  0.503
Li  0.000  0.000  0.500
Te  0.500  0.500  0.500
O  0.276  0.757  0.504
O  0.224  0.257  0.004
O  0.744  0.224  0.003
Sr  0.499  0.998  0.250
Sr  0.999  0.502  0.250
Te  0.000  0.000  0.000
Li  0.500  0.500  0.000
O  0.776  0.743  0.996
O  0.500  0.509  0.261
O  0.000  0.991  0.239
Sr  0.001  0.498  0.750
O  0.724  0.243  0.496

---

DFT (PBE) results for an optimized crystal structure of BeP2.

E_tot, eV per atom: -4.615
Total moment, Bohr magnetons per cell: 0.00
Energy above the most stable polymorph in this dataset, meV/atom: 561
DFT formation energy, meV/atom: 241

Unit cell a=8.072 b=8.072 c=8.072 alpha=157.07 beta=151.71 gamma=36.73
Sites, in units of the cell vectors:
P  0.284  0.534  0.750
P  0.384  0.134  0.250
P  0.716  0.466  0.250
P  0.616  0.866  0.750
Be  0.053  0.803  0.250
Be  0.947  0.197  0.750

---

Question: Which value of DFT formation energy does entry 9 give?
Answer: -2396 meV/atom

---

Question: Look up the E_tot of the second one.
Answer: -7.366 eV per atom

---

Question: Among the records above, which one has the highest DFT formation energy?
Answer: BaMg6Fe